No. 1
Compound: ErLuO3
Source: Materials Project
Functional: GGA-PBE
Structure: relaxed

Results
Corrected total energy (MP2020 scheme) = -175.7 eV for the cell shown
Crystal system = orthorhombic

Unit cell a=5.844 b=8.227 c=5.583 alpha=90.00 beta=90.00 gamma=90.00
Space group Pnma (No. 62)
One atom of each set of equivalent atoms:
Er: 0.052 0.250 0.013 (multiplicity 4)
Lu: 0.000 0.000 0.500 (multiplicity 4)
O: 0.075 0.750 0.358 (multiplicity 4)
O: 0.182 0.574 0.822 (multiplicity 8)



No. 2
Compound: Mg2ZnSb2
Source: Materials Project
Functional: GGA-PBE
Structure: relaxed

Results
Corrected total energy (MP2020 scheme) = -14.3 eV for the cell shown
Crystal system = trigonal

Unit cell a=4.4899 b=4.4899 c=7.2474 alpha=90.00 beta=90.00 gamma=120.00
Space group P3m1 (No. 156)
One atom of each set of equivalent atoms:
Mg: 0.0000 0.0000 0.0000 (multiplicity 1)
Mg: 0.3333 0.6667 0.6335 (multiplicity 1)
Zn: 0.6667 0.3333 0.2535 (multiplicity 1)
Sb: 0.0000 0.0000 0.3947 (multiplicity 1)
Sb: 0.6667 0.3333 0.8518 (multiplicity 1)



No. 3
Compound: AlHO2
Source: Materials Project
Functional: GGA-PBE
Structure: relaxed

Results
Corrected total energy (MP2020 scheme) = -53.5 eV for the cell shown
Crystal system = orthorhombic

Unit cell a=3.821 b=3.908 c=3.899 alpha=90.00 beta=90.00 gamma=90.00
Space group Pmc2_1 (No. 26)
One atom of each set of equivalent atoms:
Al: 0.000 0.239 0.000 (multiplicity 2)
H: 0.500 0.450 0.780 (multiplicity 2)
O: 0.000 0.246 0.493 (multiplicity 2)
O: 0.500 0.282 0.980 (multiplicity 2)



No. 4
Compound: ZrS4N4Cl6
Source: Materials Project
Functional: GGA-PBE
Structure: relaxed

Results
Corrected total energy (MP2020 scheme) = -315.2 eV for the cell shown
Crystal system = triclinic

Unit cell a=7.219 b=11.679 c=18.903 alpha=102.78 beta=98.62 gamma=92.16
Space group P-1 (No. 2)
One atom of each set of equivalent atoms:
Zr: 0.027 0.058 0.408 (multiplicity 2)
Zr: 0.470 0.434 0.089 (multiplicity 2)
S: 0.011 0.421 0.311 (multiplicity 2)
S: 0.012 0.045 0.165 (multiplicity 2)
S: 0.083 0.791 0.161 (multiplicity 2)
S: 0.162 0.661 0.397 (multiplicity 2)
S: 0.368 0.056 0.104 (multiplicity 2)
S: 0.414 0.357 0.335 (multiplicity 2)
S: 0.481 0.389 0.662 (multiplicity 2)
S: 0.496 0.873 0.185 (multiplicity 2)
N: 0.015 0.089 0.840 (multiplicity 2)
N: 0.016 0.558 0.347 (multiplicity 2)
N: 0.192 0.099 0.143 (multiplicity 2)
N: 0.193 0.356 0.319 (multiplicity 2)
N: 0.305 0.802 0.176 (multiplicity 2)
N: 0.343 0.678 0.360 (multiplicity 2)
N: 0.472 0.522 0.661 (multiplicity 2)
N: 0.496 0.013 0.848 (multiplicity 2)
Cl: 0.110 0.138 0.663 (multiplicity 2)
Cl: 0.167 0.246 0.488 (multiplicity 2)
Cl: 0.192 0.846 0.665 (multiplicity 2)
Cl: 0.216 0.951 0.502 (multiplicity 2)
Cl: 0.227 0.476 0.165 (multiplicity 2)
Cl: 0.240 0.914 0.011 (multiplicity 2)
Cl: 0.277 0.580 0.487 (multiplicity 2)
Cl: 0.281 0.046 0.336 (multiplicity 2)
Cl: 0.284 0.265 0.005 (multiplicity 2)
Cl: 0.307 0.572 0.009 (multiplicity 2)
Cl: 0.326 0.395 0.835 (multiplicity 2)
Cl: 0.349 0.695 0.847 (multiplicity 2)



No. 5
Compound: Na14Mg4Ga4Si5S7O48
Source: Materials Project
Functional: GGA-PBE
Structure: relaxed

Results
Corrected total energy (MP2020 scheme) = -1580.0 eV for the cell shown
Crystal system = triclinic

Unit cell a=8.930 b=15.687 c=22.065 alpha=90.07 beta=90.15 gamma=90.15
Space group P1 (No. 1)
One atom of each set of equivalent atoms:
Na: 0.000 0.000 0.000 (multiplicity 1)
Na: 0.002 0.029 0.670 (multiplicity 1)
Na: 0.032 0.678 0.008 (multiplicity 1)
Na: 0.033 0.353 0.665 (multiplicity 1)
Na: 0.061 0.014 0.334 (multiplicity 1)
Na: 0.167 0.170 0.247 (multiplicity 1)
Na: 0.171 0.167 0.753 (multiplicity 1)
Na: 0.173 0.506 0.084 (multiplicity 1)
Na: 0.175 0.519 0.583 (multiplicity 1)
Na: 0.179 0.857 0.420 (multiplicity 1)
Na: 0.181 0.858 0.922 (multiplicity 1)
Na: 0.288 0.015 0.836 (multiplicity 1)
Na: 0.315 0.353 0.160 (multiplicity 1)
Na: 0.324 0.683 0.500 (multiplicity 1)
Na: 0.352 0.025 0.169 (multiplicity 1)
Na: 0.355 0.997 0.496 (multiplicity 1)
Na: 0.361 0.333 0.847 (multiplicity 1)
Na: 0.362 0.694 0.836 (multiplicity 1)
Na: 0.372 0.666 0.169 (multiplicity 1)
Na: 0.484 0.833 0.335 (multiplicity 1)
Na: 0.486 0.157 0.667 (multiplicity 1)
Na: 0.492 0.192 0.331 (multiplicity 1)
Na: 0.497 0.498 0.002 (multiplicity 1)
Na: 0.500 0.534 0.670 (multiplicity 1)
Na: 0.527 0.181 0.004 (multiplicity 1)
Na: 0.536 0.853 0.660 (multiplicity 1)
Na: 0.563 0.516 0.332 (multiplicity 1)
Na: 0.669 0.358 0.418 (multiplicity 1)
Na: 0.670 0.011 0.088 (multiplicity 1)
Na: 0.671 0.676 0.247 (multiplicity 1)
Na: 0.672 0.357 0.924 (multiplicity 1)
Na: 0.680 0.004 0.581 (multiplicity 1)
Na: 0.683 0.673 0.749 (multiplicity 1)
Na: 0.788 0.516 0.839 (multiplicity 1)
Na: 0.806 0.851 0.164 (multiplicity 1)
Na: 0.818 0.175 0.502 (multiplicity 1)
Na: 0.847 0.532 0.169 (multiplicity 1)
Na: 0.850 0.503 0.494 (multiplicity 1)
Na: 0.862 0.838 0.837 (multiplicity 1)
Na: 0.863 0.190 0.835 (multiplicity 1)
Na: 0.985 0.692 0.331 (multiplicity 1)
Na: 0.987 0.337 0.334 (multiplicity 1)
Mg: 0.166 0.858 0.768 (multiplicity 1)
Mg: 0.169 0.170 0.598 (multiplicity 1)
Mg: 0.173 0.515 0.233 (multiplicity 1)
Mg: 0.178 0.174 0.906 (multiplicity 1)
Mg: 0.182 0.171 0.402 (multiplicity 1)
Mg: 0.190 0.861 0.265 (multiplicity 1)
Mg: 0.667 0.671 0.904 (multiplicity 1)
Mg: 0.669 0.361 0.769 (multiplicity 1)
Mg: 0.671 0.675 0.405 (multiplicity 1)
Mg: 0.676 0.013 0.734 (multiplicity 1)
Mg: 0.677 0.676 0.103 (multiplicity 1)
Mg: 0.684 0.357 0.268 (multiplicity 1)
Ga: 0.165 0.524 0.735 (multiplicity 1)
Ga: 0.180 0.497 0.944 (multiplicity 1)
Ga: 0.183 0.512 0.432 (multiplicity 1)
Ga: 0.185 0.172 0.095 (multiplicity 1)
Ga: 0.187 0.864 0.563 (multiplicity 1)
Ga: 0.189 0.874 0.076 (multiplicity 1)
Ga: 0.663 0.363 0.065 (multiplicity 1)
Ga: 0.669 0.013 0.229 (multiplicity 1)
Ga: 0.670 0.673 0.594 (multiplicity 1)
Ga: 0.673 0.009 0.936 (multiplicity 1)
Ga: 0.674 0.993 0.441 (multiplicity 1)
Ga: 0.678 0.364 0.570 (multiplicity 1)
Si: 0.016 0.031 0.500 (multiplicity 1)
Si: 0.021 0.004 0.169 (multiplicity 1)
Si: 0.321 0.323 0.003 (multiplicity 1)
Si: 0.328 0.999 0.671 (multiplicity 1)
Si: 0.332 0.029 0.999 (multiplicity 1)
Si: 0.392 0.016 0.335 (multiplicity 1)
Si: 0.456 0.515 0.834 (multiplicity 1)
Si: 0.476 0.845 0.171 (multiplicity 1)
Si: 0.518 0.529 0.500 (multiplicity 1)
Si: 0.521 0.497 0.171 (multiplicity 1)
Si: 0.530 0.823 0.504 (multiplicity 1)
Si: 0.829 0.502 0.669 (multiplicity 1)
Si: 0.832 0.532 0.000 (multiplicity 1)
Si: 0.886 0.516 0.336 (multiplicity 1)
Si: 0.965 0.016 0.836 (multiplicity 1)
S: 0.028 0.368 0.833 (multiplicity 1)
S: 0.029 0.663 0.835 (multiplicity 1)
S: 0.030 0.328 0.503 (multiplicity 1)
S: 0.033 0.705 0.168 (multiplicity 1)
S: 0.316 0.702 0.669 (multiplicity 1)
S: 0.319 0.661 0.335 (multiplicity 1)
S: 0.321 0.366 0.335 (multiplicity 1)
S: 0.376 0.685 0.001 (multiplicity 1)
S: 0.382 0.347 0.668 (multiplicity 1)
S: 0.473 0.188 0.503 (multiplicity 1)
S: 0.529 0.866 0.835 (multiplicity 1)
S: 0.531 0.163 0.833 (multiplicity 1)
S: 0.534 0.204 0.169 (multiplicity 1)
S: 0.818 0.207 0.668 (multiplicity 1)
S: 0.820 0.162 0.335 (multiplicity 1)
S: 0.821 0.828 0.001 (multiplicity 1)
S: 0.823 0.867 0.334 (multiplicity 1)
S: 0.880 0.183 0.001 (multiplicity 1)
S: 0.884 0.844 0.668 (multiplicity 1)
S: 0.966 0.344 0.168 (multiplicity 1)
S: 0.970 0.683 0.502 (multiplicity 1)
O: 0.016 0.504 0.677 (multiplicity 1)
O: 0.017 0.529 0.990 (multiplicity 1)
O: 0.029 0.090 0.561 (multiplicity 1)
O: 0.035 0.939 0.108 (multiplicity 1)
O: 0.044 0.606 0.781 (multiplicity 1)
O: 0.049 0.425 0.886 (multiplicity 1)
O: 0.059 0.424 0.172 (multiplicity 1)
O: 0.062 0.277 0.448 (multiplicity 1)
O: 0.062 0.756 0.223 (multiplicity 1)
O: 0.066 0.928 0.836 (multiplicity 1)
O: 0.067 0.604 0.498 (multiplicity 1)
O: 0.068 0.270 0.163 (multiplicity 1)
O: 0.070 0.103 0.841 (multiplicity 1)
O: 0.070 0.757 0.511 (multiplicity 1)
O: 0.089 0.416 0.500 (multiplicity 1)
O: 0.091 0.287 0.558 (multiplicity 1)
O: 0.095 0.408 0.777 (multiplicity 1)
O: 0.095 0.936 0.507 (multiplicity 1)
O: 0.096 0.624 0.889 (multiplicity 1)
O: 0.099 0.746 0.113 (multiplicity 1)
O: 0.100 0.284 0.839 (multiplicity 1)
O: 0.100 0.618 0.172 (multiplicity 1)
O: 0.103 0.072 0.442 (multiplicity 1)
O: 0.105 0.747 0.826 (multiplicity 1)
O: 0.105 0.964 0.227 (multiplicity 1)
O: 0.110 0.096 0.156 (multiplicity 1)
O: 0.242 0.745 0.332 (multiplicity 1)
O: 0.244 0.283 0.344 (multiplicity 1)
O: 0.244 0.937 0.007 (multiplicity 1)
O: 0.247 0.277 0.063 (multiplicity 1)
O: 0.250 0.957 0.730 (multiplicity 1)
O: 0.251 0.068 0.940 (multiplicity 1)
O: 0.252 0.094 0.664 (multiplicity 1)
O: 0.254 0.613 0.672 (multiplicity 1)
O: 0.255 0.741 0.614 (multiplicity 1)
O: 0.256 0.406 0.281 (multiplicity 1)
O: 0.256 0.620 0.391 (multiplicity 1)
O: 0.261 0.423 0.003 (multiplicity 1)
O: 0.271 0.757 0.006 (multiplicity 1)
O: 0.281 0.273 0.660 (multiplicity 1)
O: 0.283 0.752 0.725 (multiplicity 1)
O: 0.285 0.604 0.996 (multiplicity 1)
O: 0.286 0.931 0.335 (multiplicity 1)
O: 0.288 0.103 0.337 (multiplicity 1)
O: 0.291 0.426 0.672 (multiplicity 1)
O: 0.292 0.607 0.282 (multiplicity 1)
O: 0.295 0.270 0.941 (multiplicity 1)
O: 0.303 0.424 0.389 (multiplicity 1)
O: 0.303 0.936 0.611 (multiplicity 1)
O: 0.314 0.090 0.059 (multiplicity 1)
O: 0.332 0.525 0.492 (multiplicity 1)
O: 0.338 0.506 0.173 (multiplicity 1)
O: 0.342 0.831 0.509 (multiplicity 1)
O: 0.345 0.502 0.893 (multiplicity 1)
O: 0.350 0.529 0.772 (multiplicity 1)
O: 0.365 0.196 0.166 (multiplicity 1)
O: 0.365 0.852 0.830 (multiplicity 1)
O: 0.366 0.174 0.837 (multiplicity 1)
O: 0.366 0.866 0.113 (multiplicity 1)
O: 0.376 0.177 0.558 (multiplicity 1)
O: 0.379 0.823 0.231 (multiplicity 1)
O: 0.383 0.202 0.448 (multiplicity 1)
O: 0.467 0.698 0.945 (multiplicity 1)
O: 0.473 0.331 0.723 (multiplicity 1)
O: 0.474 0.673 0.054 (multiplicity 1)
O: 0.483 0.360 0.615 (multiplicity 1)
O: 0.483 0.673 0.340 (multiplicity 1)
O: 0.484 0.352 0.331 (multiplicity 1)
O: 0.484 0.695 0.667 (multiplicity 1)
O: 0.501 0.004 0.396 (multiplicity 1)
O: 0.501 0.033 0.276 (multiplicity 1)
O: 0.508 0.330 0.008 (multiplicity 1)
O: 0.512 0.008 0.673 (multiplicity 1)
O: 0.519 0.025 0.991 (multiplicity 1)
O: 0.536 0.589 0.562 (multiplicity 1)
O: 0.544 0.433 0.111 (multiplicity 1)
O: 0.549 0.924 0.888 (multiplicity 1)
O: 0.554 0.768 0.443 (multiplicity 1)
O: 0.557 0.108 0.779 (multiplicity 1)
O: 0.560 0.429 0.832 (multiplicity 1)
O: 0.561 0.602 0.835 (multiplicity 1)
O: 0.564 0.109 0.499 (multiplicity 1)
O: 0.565 0.254 0.224 (multiplicity 1)
O: 0.572 0.936 0.174 (multiplicity 1)
O: 0.579 0.262 0.510 (multiplicity 1)
O: 0.590 0.766 0.161 (multiplicity 1)
O: 0.591 0.923 0.502 (multiplicity 1)
O: 0.593 0.905 0.780 (multiplicity 1)
O: 0.595 0.116 0.172 (multiplicity 1)
O: 0.595 0.244 0.113 (multiplicity 1)
O: 0.596 0.123 0.888 (multiplicity 1)
O: 0.597 0.454 0.231 (multiplicity 1)
O: 0.601 0.590 0.163 (multiplicity 1)
O: 0.602 0.435 0.510 (multiplicity 1)
O: 0.603 0.568 0.443 (multiplicity 1)
O: 0.603 0.778 0.565 (multiplicity 1)
O: 0.604 0.248 0.827 (multiplicity 1)
O: 0.605 0.783 0.843 (multiplicity 1)
O: 0.746 0.247 0.327 (multiplicity 1)
O: 0.746 0.595 0.656 (multiplicity 1)
O: 0.747 0.461 0.727 (multiplicity 1)
O: 0.748 0.569 0.940 (multiplicity 1)
O: 0.749 0.247 0.612 (multiplicity 1)
O: 0.750 0.783 0.341 (multiplicity 1)
O: 0.754 0.436 0.008 (multiplicity 1)
O: 0.755 0.119 0.671 (multiplicity 1)
O: 0.755 0.125 0.391 (multiplicity 1)
O: 0.757 0.907 0.279 (multiplicity 1)
O: 0.759 0.787 0.055 (multiplicity 1)
O: 0.759 0.917 0.997 (multiplicity 1)
O: 0.780 0.256 0.010 (multiplicity 1)
O: 0.781 0.602 0.341 (multiplicity 1)
O: 0.782 0.769 0.663 (multiplicity 1)
O: 0.783 0.428 0.336 (multiplicity 1)
O: 0.784 0.103 0.997 (multiplicity 1)
O: 0.785 0.258 0.722 (multiplicity 1)
O: 0.786 0.778 0.944 (multiplicity 1)
O: 0.790 0.923 0.672 (multiplicity 1)
O: 0.800 0.105 0.282 (multiplicity 1)
O: 0.805 0.924 0.388 (multiplicity 1)
O: 0.813 0.593 0.059 (multiplicity 1)
O: 0.815 0.435 0.609 (multiplicity 1)
O: 0.832 0.028 0.490 (multiplicity 1)
O: 0.838 0.009 0.177 (multiplicity 1)
O: 0.852 0.001 0.896 (multiplicity 1)
O: 0.860 0.332 0.506 (multiplicity 1)
O: 0.863 0.355 0.827 (multiplicity 1)
O: 0.864 0.031 0.775 (multiplicity 1)
O: 0.864 0.677 0.840 (multiplicity 1)
O: 0.865 0.355 0.115 (multiplicity 1)
O: 0.868 0.696 0.163 (multiplicity 1)
O: 0.871 0.665 0.555 (multiplicity 1)
O: 0.880 0.333 0.225 (multiplicity 1)
O: 0.883 0.695 0.446 (multiplicity 1)
O: 0.966 0.196 0.945 (multiplicity 1)
O: 0.971 0.833 0.725 (multiplicity 1)
O: 0.980 0.166 0.054 (multiplicity 1)
O: 0.984 0.855 0.615 (multiplicity 1)
O: 0.985 0.177 0.341 (multiplicity 1)
O: 0.985 0.202 0.663 (multiplicity 1)
O: 0.988 0.834 0.004 (multiplicity 1)
O: 0.988 0.854 0.328 (multiplicity 1)
O: 0.989 0.530 0.277 (multiplicity 1)
O: 0.997 0.500 0.398 (multiplicity 1)



No. 6
Compound: La2TiZnO6
Source: Materials Project
Functional: GGA-PBE
Structure: relaxed

Results
Polymorph energy (0 for the lowest one) = 17 meV per atom
Corrected total energy (MP2020 scheme) = -247.6 eV for the cell shown
Crystal system = trigonal

Unit cell a=5.6713 b=5.6713 c=13.5967 alpha=90.00 beta=90.00 gamma=120.00
Space group R-3 (No. 148, hexagonal axes)
One atom of each set of equivalent atoms:
La: 0.0000 0.0000 0.2499 (multiplicity 6)
Ti: 0.0000 0.0000 0.0000 (multiplicity 3)
Zn: 0.0000 0.0000 0.5000 (multiplicity 3)
O: 0.0148 0.5876 0.7483 (multiplicity 18)



No. 7
Compound: Ho2ZnCuSi2
Source: Materials Project
Functional: GGA-PBE
Structure: relaxed

Results
Corrected total energy (MP2020 scheme) = -29.0 eV for the cell shown
Crystal system = orthorhombic

Unit cell a=3.987 b=4.061 c=7.035 alpha=90.00 beta=90.00 gamma=90.00
Space group Pmm2 (No. 25)
One atom of each set of equivalent atoms:
Ho: 0.000 0.000 0.000 (multiplicity 1)
Ho: 0.000 0.500 0.493 (multiplicity 1)
Zn: 0.500 0.500 0.832 (multiplicity 1)
Cu: 0.500 0.000 0.329 (multiplicity 1)
Si: 0.500 0.000 0.656 (multiplicity 1)
Si: 0.500 0.500 0.169 (multiplicity 1)



No. 8
Compound: TaP4S10Cl5
Source: Materials Project
Functional: GGA-PBE
Structure: relaxed

Results
Corrected total energy (MP2020 scheme) = -205.0 eV for the cell shown
Crystal system = triclinic

Unit cell a=10.127 b=11.503 c=12.109 alpha=70.87 beta=67.93 gamma=67.70
Space group P-1 (No. 2)
One atom of each set of equivalent atoms:
Ta: 0.043 0.130 0.342 (multiplicity 2)
P: 0.021 0.325 0.763 (multiplicity 2)
P: 0.301 0.052 0.838 (multiplicity 2)
P: 0.306 0.352 0.839 (multiplicity 2)
P: 0.380 0.271 0.565 (multiplicity 2)
S: 0.071 0.127 0.849 (multiplicity 2)
S: 0.076 0.426 0.850 (multiplicity 2)
S: 0.150 0.346 0.577 (multiplicity 2)
S: 0.188 0.606 0.227 (multiplicity 2)
S: 0.345 0.873 0.917 (multiplicity 2)
S: 0.353 0.444 0.919 (multiplicity 2)
S: 0.354 0.154 0.925 (multiplicity 2)
S: 0.428 0.073 0.652 (multiplicity 2)
S: 0.434 0.372 0.653 (multiplicity 2)
S: 0.495 0.290 0.396 (multiplicity 2)
Cl: 0.073 0.791 0.808 (multiplicity 2)
Cl: 0.128 0.719 0.545 (multiplicity 2)
Cl: 0.133 0.012 0.533 (multiplicity 2)
Cl: 0.204 0.951 0.262 (multiplicity 2)
Cl: 0.219 0.235 0.265 (multiplicity 2)